Entry 1:
Computed, not measured: crystalline BaLi2NiO3 at its relaxed geometry at the GGA+U level of DFT.

Geometry as POSCAR:
```
BaLi2NiO3
1.0
8.011 0.000 0.000
0.000 6.909 0.000
0.000 0.000 7.146
Ba Li Ni O
4 8 4 12
direct
0.038 0.250 0.154
0.462 0.750 0.654
0.538 0.250 0.346
0.962 0.750 0.846
0.142 0.035 0.549
0.142 0.465 0.549
0.358 0.535 0.049
0.358 0.965 0.049
0.642 0.035 0.951
0.642 0.465 0.951
0.858 0.535 0.451
0.858 0.965 0.451
0.188 0.750 0.316
0.312 0.250 0.816
0.688 0.750 0.184
0.812 0.250 0.684
0.014 0.750 0.495
0.220 0.002 0.812
0.220 0.498 0.812
0.280 0.502 0.312
0.280 0.998 0.312
0.486 0.250 0.995
0.514 0.750 0.005
0.720 0.002 0.688
0.720 0.498 0.688
0.780 0.502 0.188
0.780 0.998 0.188
0.986 0.250 0.505
```

Results
The total magnetic moment is 0.0 μB/cell. For the distance to the lowest polymorph of the same formula, the calculation gives 0.000 eV per atom.


Entry 2:
Computed, not measured: crystalline Ba2LiNi2O6 at its relaxed geometry at the GGA+U level of DFT.

Geometry as POSCAR:
```
Ba2LiNi2O6
1.0
5.775 0.000 0.000
-2.888 5.002 0.000
0.000 0.000 7.267
Ba Li Ni O
2 1 2 6
direct
0.000 0.000 0.000
0.333 0.667 0.762
0.667 0.333 0.565
0.667 0.333 0.196
0.667 0.333 0.875
0.367 0.183 0.722
0.513 0.027 0.050
0.513 0.487 0.050
0.817 0.183 0.722
0.817 0.633 0.722
0.973 0.487 0.050
```

Results
The total magnetic moment is 1.0 μB/cell. For the distance to the lowest polymorph of the same formula, the calculation gives 0.323 eV per atom.


Entry 3:
Computed, not measured: crystalline Ba2LiNi2O6 at its relaxed geometry at the GGA+U level of DFT.

Geometry as POSCAR:
```
Ba2LiNi2O6
1.0
5.684 0.000 0.000
-2.842 4.922 0.000
0.000 0.000 5.207
Ba Li Ni O
2 1 2 6
direct
0.000 0.000 0.000
0.333 0.667 0.506
0.333 0.667 0.005
0.667 0.333 0.227
0.667 0.333 0.725
0.367 0.184 0.477
0.514 0.027 0.975
0.514 0.486 0.975
0.816 0.184 0.477
0.816 0.633 0.477
0.973 0.486 0.975
```

Results
The total magnetic moment is 1.0 μB/cell. For the distance to the lowest polymorph of the same formula, the calculation gives 0.086 eV per atom.


Entry 4:
Computed, not measured: crystalline BaLi2NiO3 at its relaxed geometry at the GGA+U level of DFT.

Geometry as POSCAR:
```
BaLi2NiO3
1.0
5.438 0.000 0.000
0.000 13.755 0.000
-3.684 0.000 10.567
Ba Li Ni O
8 16 8 24
direct
0.048 0.200 0.322
0.048 0.300 0.822
0.308 0.606 0.574
0.308 0.894 0.074
0.692 0.106 0.926
0.692 0.394 0.426
0.952 0.700 0.178
0.952 0.800 0.678
0.228 0.143 0.624
0.228 0.357 0.124
0.233 0.508 0.980
0.233 0.992 0.480
0.251 0.168 0.089
0.251 0.332 0.589
0.494 0.564 0.183
0.494 0.936 0.683
0.506 0.064 0.317
0.506 0.436 0.817
0.749 0.668 0.411
0.749 0.832 0.911
0.767 0.008 0.520
0.767 0.492 0.020
0.772 0.643 0.876
0.772 0.857 0.376
0.069 0.024 0.789
0.069 0.476 0.289
0.344 0.691 0.917
0.344 0.809 0.417
0.656 0.191 0.583
0.656 0.309 0.083
0.931 0.524 0.711
0.931 0.976 0.211
0.047 0.740 0.941
0.047 0.760 0.441
0.159 0.001 0.646
0.159 0.499 0.146
0.183 0.054 0.181
0.183 0.446 0.681
0.204 0.118 0.911
0.204 0.382 0.411
0.446 0.103 0.472
0.446 0.397 0.972
0.471 0.735 0.790
0.471 0.765 0.290
0.529 0.235 0.710
0.529 0.265 0.210
0.554 0.603 0.028
0.554 0.897 0.528
0.796 0.618 0.589
0.796 0.882 0.089
0.817 0.554 0.319
0.817 0.946 0.819
0.841 0.501 0.854
0.841 0.999 0.354
0.953 0.240 0.559
0.953 0.260 0.059
```

Results
The total magnetic moment is 16.0 μB/cell. For the distance to the lowest polymorph of the same formula, the calculation gives 0.030 eV per atom.


Entry 5:
Computed, not measured: crystalline Ba2LiNi2O6 at its relaxed geometry at the GGA+U level of DFT.

Geometry as POSCAR:
```
Ba2LiNi2O6
1.0
5.306 -2.876 0.000
5.306 2.876 0.000
-1.280 0.000 4.909
Ba Li Ni O
2 1 2 6
direct
0.000 0.000 0.000
0.706 0.706 0.386
0.541 0.541 0.754
0.320 0.320 0.765
0.331 0.331 0.266
0.032 0.478 0.976
0.177 0.177 0.463
0.192 0.613 0.564
0.477 0.477 0.058
0.478 0.032 0.976
0.613 0.192 0.564
```

Results
The total magnetic moment is 1.0 μB/cell. For the distance to the lowest polymorph of the same formula, the calculation gives 0.053 eV per atom.


Entry 6:
Computed, not measured: crystalline Ba2LiVP2O9 at its relaxed geometry at the GGA+U level of DFT.

Geometry as POSCAR:
```
Ba2LiVP2O9
1.0
9.136 -2.697 0.000
9.136 2.697 0.000
-3.326 0.000 9.181
Ba Li V P O
4 2 2 4 18
direct
0.009 0.991 0.500
0.658 0.676 0.836
0.676 0.658 0.336
0.991 0.009 0.000
0.784 0.900 0.110
0.900 0.784 0.610
0.276 0.388 0.923
0.388 0.276 0.423
0.173 0.229 0.096
0.229 0.173 0.596
0.430 0.495 0.747
0.495 0.430 0.247
0.172 0.376 0.230
0.226 0.228 0.959
0.228 0.226 0.459
0.267 0.512 0.613
0.273 0.714 0.220
0.274 0.773 0.771
0.376 0.172 0.730
0.383 0.945 0.116
0.392 0.891 0.569
0.423 0.452 0.885
0.452 0.423 0.385
0.512 0.267 0.113
0.714 0.273 0.720
0.729 0.936 0.438
0.773 0.274 0.271
0.891 0.392 0.069
0.936 0.729 0.938
0.945 0.383 0.616
```

Results
The total magnetic moment is 4.0 μB/cell. The calculated total energy comes out at -7.106 eV per atom.


Entry 7:
Computed, not measured: crystalline Ba10LiW7O30 at its relaxed geometry at the GGA+U level of DFT.

Geometry as POSCAR:
```
Ba10LiW7O30
1.0
5.103 -2.956 0.000
5.103 2.956 0.000
-0.017 0.000 24.942
Ba Li W O
10 1 7 30
direct
0.000 0.000 0.000
0.000 0.000 0.209
0.000 0.000 0.499
0.333 0.333 0.602
0.333 0.333 0.902
0.334 0.334 0.293
0.666 0.666 0.811
0.667 0.667 0.110
0.668 0.668 0.382
0.999 0.999 0.702
0.333 0.333 0.169
0.332 0.332 0.751
0.334 0.334 0.051
0.334 0.334 0.451
0.666 0.666 0.547
0.667 0.667 0.248
0.667 0.667 0.656
0.667 0.667 0.950
0.003 0.499 0.998
0.006 0.498 0.507
0.017 0.489 0.698
0.177 0.177 0.416
0.178 0.178 0.089
0.178 0.178 0.789
0.178 0.644 0.415
0.179 0.644 0.089
0.180 0.645 0.788
0.356 0.823 0.598
0.362 0.818 0.909
0.362 0.819 0.294
0.489 0.017 0.698
0.495 0.495 0.506
0.497 0.497 0.698
0.498 0.006 0.507
0.499 0.003 0.998
0.499 0.499 0.998
0.509 0.509 0.201
0.509 0.982 0.201
0.644 0.178 0.415
0.644 0.179 0.089
0.645 0.180 0.788
0.818 0.362 0.909
0.819 0.362 0.294
0.819 0.819 0.909
0.820 0.820 0.293
0.821 0.821 0.600
0.823 0.356 0.598
0.982 0.509 0.201
```

Results
The total magnetic moment is 3.0 μB/cell. The calculated total energy comes out at -7.052 eV per atom.


Entry 8:
Computed, not measured: crystalline Ba5Li2W3O15 at its relaxed geometry at the GGA+U level of DFT.

Geometry as POSCAR:
```
Ba5Li2W3O15
1.0
5.846 0.000 0.000
-2.923 5.063 0.000
0.000 0.000 24.340
Ba Li W O
10 4 6 30
direct
0.000 0.000 0.000
0.000 0.000 0.200
0.000 0.000 0.500
0.000 0.000 0.700
0.333 0.667 0.093
0.333 0.667 0.403
0.333 0.667 0.808
0.667 0.333 0.308
0.667 0.333 0.593
0.667 0.333 0.903
0.000 0.000 0.359
0.000 0.000 0.859
0.333 0.667 0.531
0.667 0.333 0.031
0.333 0.667 0.253
0.333 0.667 0.649
0.333 0.667 0.950
0.667 0.333 0.149
0.667 0.333 0.450
0.667 0.333 0.753
0.000 0.500 0.201
0.000 0.500 0.701
0.019 0.509 0.997
0.176 0.352 0.903
0.176 0.824 0.903
0.177 0.354 0.293
0.177 0.355 0.609
0.177 0.823 0.293
0.177 0.823 0.609
0.352 0.176 0.403
0.354 0.177 0.793
0.355 0.177 0.109
0.491 0.509 0.997
0.491 0.981 0.997
0.500 0.000 0.201
0.500 0.000 0.701
0.500 0.500 0.201
0.500 0.500 0.701
0.509 0.019 0.497
0.509 0.491 0.497
0.645 0.823 0.609
0.646 0.823 0.293
0.648 0.824 0.903
0.823 0.177 0.109
0.823 0.177 0.793
0.823 0.645 0.109
0.823 0.646 0.793
0.824 0.176 0.403
0.824 0.648 0.403
0.981 0.491 0.497
```

Results
The total magnetic moment is 0.0 μB/cell. The calculated total energy comes out at -6.895 eV per atom.


Entry 9:
Computed, not measured: crystalline Ba2Li3Y3W8O32 at its relaxed geometry at the GGA+U level of DFT.

Geometry as POSCAR:
```
Ba2Li3Y3W8O32
1.0
5.260 0.000 0.000
2.595 6.438 0.000
0.798 0.209 19.373
Ba Li Y W O
2 3 3 8 32
direct
0.000 0.000 0.000
0.065 0.863 0.474
0.342 0.291 0.479
0.728 0.568 0.993
0.884 0.222 0.199
0.175 0.642 0.704
0.186 0.637 0.264
0.891 0.221 0.769
0.292 0.421 0.886
0.293 0.414 0.087
0.458 0.052 0.326
0.492 0.056 0.640
0.575 0.805 0.831
0.608 0.812 0.142
0.775 0.441 0.586
0.777 0.444 0.384
0.010 0.644 0.056
0.051 0.213 0.416
0.090 0.340 0.947
0.101 0.455 0.803
0.135 0.226 0.100
0.201 0.279 0.284
0.256 0.031 0.838
0.259 0.971 0.698
0.309 0.887 0.202
0.310 0.103 0.561
0.325 0.666 0.905
0.339 0.836 0.343
0.429 0.632 0.604
0.443 0.464 0.166
0.477 0.763 0.061
0.520 0.516 0.456
0.524 0.271 0.693
0.543 0.349 0.014
0.545 0.590 0.778
0.586 0.097 0.409
0.614 0.412 0.307
0.637 0.230 0.867
0.707 0.033 0.126
0.741 0.198 0.565
0.759 0.759 0.910
0.766 0.959 0.272
0.807 0.890 0.772
0.811 0.832 0.632
0.879 0.604 0.189
0.939 0.634 0.371
0.968 0.407 0.668
0.973 0.522 0.523
```

Results
The total magnetic moment is 0.0 μB/cell. The calculated total energy comes out at -7.483 eV per atom.


Entry 10:
Computed, not measured: crystalline Ba5Lu8Ni4O21 at its relaxed geometry at the GGA+U level of DFT.

Geometry as POSCAR:
```
Ba5Lu8Ni4O21
1.0
-6.804 6.804 2.828
6.804 -6.804 2.828
6.804 6.804 -2.828
Ba Lu Ni O
5 8 4 21
direct
0.000 0.000 0.000
0.139 0.462 0.601
0.462 0.861 0.323
0.538 0.139 0.677
0.861 0.538 0.399
0.168 0.750 0.917
0.250 0.168 0.418
0.358 0.589 0.947
0.411 0.358 0.769
0.589 0.642 0.231
0.642 0.411 0.053
0.750 0.832 0.582
0.832 0.250 0.083
0.041 0.244 0.285
0.244 0.959 0.203
0.756 0.041 0.797
0.959 0.756 0.715
0.008 0.603 0.108
0.040 0.633 0.673
0.074 0.203 0.774
0.100 0.992 0.595
0.203 0.429 0.129
0.300 0.074 0.871
0.367 0.040 0.407
0.397 0.505 0.405
0.429 0.300 0.226
0.495 0.900 0.892
0.500 0.500 0.000
0.505 0.100 0.108
0.571 0.700 0.774
0.603 0.495 0.595
0.633 0.960 0.593
0.700 0.926 0.129
0.797 0.571 0.871
0.900 0.008 0.405
0.926 0.797 0.226
0.960 0.367 0.327
0.992 0.397 0.892
```

Results
The total magnetic moment is 0.0 μB/cell. The calculated total energy comes out at -6.917 eV per atom.


Entry 11:
Computed, not measured: crystalline Ba3MgMnNb2O9 at its relaxed geometry at the GGA+U level of DFT.

Geometry as POSCAR:
```
Ba3MgMnNb2O9
1.0
5.908 0.000 0.000
-2.953 5.542 0.000
-0.008 -0.675 7.420
Ba Mg Mn Nb O
3 1 1 2 9
direct
0.000 0.000 0.000
0.263 0.526 0.665
0.703 0.403 0.271
0.486 0.974 0.488
0.352 0.704 0.121
0.659 0.318 0.826
0.971 0.944 0.500
0.109 0.225 0.352
0.161 0.796 0.342
0.315 0.111 0.662
0.496 0.489 0.974
0.518 0.037 0.996
0.631 0.793 0.343
0.794 0.110 0.663
0.807 0.613 0.651
0.992 0.489 0.974
```

Results
The total magnetic moment is 3.3 μB/cell. For the distance to the lowest polymorph of the same formula, the calculation gives 0.016 eV per atom.


What did the sixth record say?
Computed, not measured: crystalline Ba2LiVP2O9 at its relaxed geometry at the GGA+U level of DFT.

Geometry as POSCAR:
```
Ba2LiVP2O9
1.0
9.136 -2.697 0.000
9.136 2.697 0.000
-3.326 0.000 9.181
Ba Li V P O
4 2 2 4 18
direct
0.009 0.991 0.500
0.658 0.676 0.836
0.676 0.658 0.336
0.991 0.009 0.000
0.784 0.900 0.110
0.900 0.784 0.610
0.276 0.388 0.923
0.388 0.276 0.423
0.173 0.229 0.096
0.229 0.173 0.596
0.430 0.495 0.747
0.495 0.430 0.247
0.172 0.376 0.230
0.226 0.228 0.959
0.228 0.226 0.459
0.267 0.512 0.613
0.273 0.714 0.220
0.274 0.773 0.771
0.376 0.172 0.730
0.383 0.945 0.116
0.392 0.891 0.569
0.423 0.452 0.885
0.452 0.423 0.385
0.512 0.267 0.113
0.714 0.273 0.720
0.729 0.936 0.438
0.773 0.274 0.271
0.891 0.392 0.069
0.936 0.729 0.938
0.945 0.383 0.616
```

Results
The total magnetic moment is 4.0 μB/cell. The calculated total energy comes out at -7.106 eV per atom.